Record 1
! Co2Ge5N8, relaxed, DFT PBE; values from VASP
&SYSTEM
  ibrav = 0, nat = 120, ntyp = 3
/
ATOMIC_SPECIES
Co 58.93 Co.upf
Ge 72.64 Ge.upf
N 14.01 N.upf
ATOMIC_POSITIONS crystal
Co 0.051 0.135 0.013
Co 0.551 0.365 0.987
Co 0.949 0.635 0.487
Co 0.449 0.865 0.513
Co 0.949 0.865 0.987
Co 0.449 0.635 0.013
Co 0.051 0.365 0.513
Co 0.551 0.135 0.487
Co 0.315 0.120 0.030
Co 0.815 0.380 0.970
Co 0.685 0.620 0.470
Co 0.185 0.880 0.530
Co 0.685 0.880 0.970
Co 0.185 0.620 0.030
Co 0.315 0.380 0.530
Co 0.815 0.120 0.470
Ge 0.393 0.255 0.834
Ge 0.893 0.245 0.166
Ge 0.607 0.755 0.666
Ge 0.107 0.745 0.334
Ge 0.607 0.745 0.166
Ge 0.107 0.755 0.834
Ge 0.393 0.245 0.334
Ge 0.893 0.255 0.666
Ge 0.155 0.253 0.715
Ge 0.655 0.247 0.285
Ge 0.845 0.753 0.785
Ge 0.345 0.747 0.215
Ge 0.845 0.747 0.285
Ge 0.345 0.753 0.715
Ge 0.155 0.247 0.215
Ge 0.655 0.253 0.785
Ge 0.258 0.999 0.831
Ge 0.758 0.501 0.169
Ge 0.742 0.499 0.669
Ge 0.242 0.001 0.331
Ge 0.742 0.001 0.169
Ge 0.242 0.499 0.831
Ge 0.258 0.501 0.331
Ge 0.758 0.999 0.669
Ge 0.983 0.022 0.796
Ge 0.483 0.478 0.204
Ge 0.017 0.522 0.704
Ge 0.517 0.978 0.296
Ge 0.017 0.978 0.204
Ge 0.517 0.522 0.796
Ge 0.983 0.478 0.296
Ge 0.483 0.022 0.704
Ge 0.798 0.133 0.970
Ge 0.298 0.367 0.030
Ge 0.202 0.633 0.530
Ge 0.702 0.867 0.470
Ge 0.202 0.867 0.030
Ge 0.702 0.633 0.970
Ge 0.798 0.367 0.470
Ge 0.298 0.133 0.530
N 0.910 0.245 0.034
N 0.410 0.255 0.966
N 0.090 0.745 0.466
N 0.590 0.755 0.534
N 0.090 0.755 0.966
N 0.590 0.745 0.034
N 0.910 0.255 0.534
N 0.410 0.245 0.466
N 0.938 0.046 0.924
N 0.438 0.454 0.076
N 0.062 0.546 0.576
N 0.562 0.954 0.424
N 0.062 0.954 0.076
N 0.562 0.546 0.924
N 0.938 0.454 0.424
N 0.438 0.046 0.576
N 0.699 0.263 0.913
N 0.199 0.237 0.087
N 0.301 0.763 0.587
N 0.801 0.737 0.413
N 0.301 0.737 0.087
N 0.801 0.763 0.913
N 0.699 0.237 0.413
N 0.199 0.263 0.587
N 0.291 0.977 0.957
N 0.791 0.523 0.043
N 0.709 0.477 0.543
N 0.209 0.023 0.457
N 0.709 0.023 0.043
N 0.209 0.477 0.957
N 0.291 0.523 0.457
N 0.791 0.977 0.543
N 0.013 0.166 0.723
N 0.513 0.334 0.277
N 0.987 0.666 0.777
N 0.487 0.834 0.223
N 0.987 0.834 0.277
N 0.487 0.666 0.723
N 0.013 0.334 0.223
N 0.513 0.166 0.777
N 0.371 0.918 0.759
N 0.871 0.582 0.241
N 0.629 0.418 0.741
N 0.129 0.082 0.259
N 0.629 0.082 0.241
N 0.129 0.418 0.759
N 0.371 0.582 0.259
N 0.871 0.918 0.741
N 0.256 0.171 0.798
N 0.756 0.329 0.202
N 0.744 0.671 0.702
N 0.244 0.829 0.298
N 0.744 0.829 0.202
N 0.244 0.671 0.798
N 0.256 0.329 0.298
N 0.756 0.171 0.702
N 0.119 0.923 0.791
N 0.619 0.577 0.209
N 0.881 0.423 0.709
N 0.381 0.077 0.291
N 0.881 0.077 0.209
N 0.381 0.423 0.791
N 0.119 0.577 0.291
N 0.619 0.923 0.709
CELL_PARAMETERS angstrom
11.205 0.000 0.000
0.000 10.421 0.000
0.000 0.000 14.079
! Formation energy from the elements   0.07 eV per atom
! Crystal system   orthorhombic
! Total magnetization   0.267 μB/atom
! Symmetry   Pbca (61)

---

Record 2
! Nb6Co16Ge7, relaxed, DFT PBE; values from VASP
&SYSTEM
  ibrav = 0, nat = 29, ntyp = 3
/
ATOMIC_SPECIES
Nb 92.91 Nb.upf
Co 58.93 Co.upf
Ge 72.64 Ge.upf
ATOMIC_POSITIONS crystal
Nb 0.201 0.799 0.799
Nb 0.799 0.799 0.201
Nb 0.799 0.201 0.201
Nb 0.201 0.201 0.799
Nb 0.799 0.201 0.799
Nb 0.201 0.799 0.201
Co 0.619 0.619 0.143
Co 0.166 0.503 0.166
Co 0.857 0.381 0.381
Co 0.497 0.834 0.834
Co 0.503 0.166 0.166
Co 0.834 0.834 0.497
Co 0.166 0.166 0.503
Co 0.143 0.619 0.619
Co 0.166 0.166 0.166
Co 0.381 0.381 0.857
Co 0.619 0.619 0.619
Co 0.381 0.857 0.381
Co 0.381 0.381 0.381
Co 0.834 0.834 0.834
Co 0.619 0.143 0.619
Co 0.834 0.497 0.834
Ge 0.500 0.000 0.500
Ge 0.500 0.500 0.000
Ge 0.500 0.500 0.500
Ge 0.000 0.000 0.500
Ge 0.000 0.500 0.000
Ge 0.000 0.500 0.500
Ge 0.500 0.000 0.000
CELL_PARAMETERS angstrom
1.112 -7.131 -3.565
-2.976 -6.684 3.354
-6.214 -3.799 -3.427
! Formation energy from the elements   -0.30 eV per atom
! Crystal system   cubic
! Symmetry   Fm-3m (225)

---

Record 3
! Nb2Co3Ge, relaxed, DFT PBE; values from VASP
&SYSTEM
  ibrav = 0, nat = 12, ntyp = 3
/
ATOMIC_SPECIES
Nb 92.91 Nb.upf
Co 58.93 Co.upf
Ge 72.64 Ge.upf
ATOMIC_POSITIONS crystal
Nb 0.333 0.667 0.439
Nb 0.667 0.333 0.561
Nb 0.667 0.333 0.939
Nb 0.333 0.667 0.061
Co 0.828 0.172 0.250
Co 0.828 0.656 0.250
Co 0.344 0.172 0.250
Co 0.172 0.828 0.750
Co 0.172 0.344 0.750
Co 0.656 0.828 0.750
Ge 0.000 0.000 0.500
Ge 0.000 0.000 0.000
CELL_PARAMETERS angstrom
2.452 -4.247 0.000
2.452 4.247 0.000
0.000 0.000 7.687
! Formation energy from the elements   -0.31 eV per atom
! Crystal system   hexagonal
! Symmetry   P6_3/mmc (194)